# 1
VASP calculation (PBE) on an optimized crystal structure of Mg2Nb2SnO8.

Computed properties:
Raw total energy ... -196.340 eV/cell
Calculated density ... 4.71 g/cm³
Energy relative to the elements ... -36.7 eV/f.u.

Cell and atoms, written as CIF:
```
data_Mg2Nb2SnO8
_space_group_name_H-M_alt 'P 1'
_space_group_IT_number 1
_cell_length_a 10.881
_cell_length_b 10.881
_cell_length_c 5.308
_cell_angle_alpha 91.02
_cell_angle_beta 91.02
_cell_angle_gamma 32.68
loop_
_space_group_symop_operation_xyz
'x,y,z'
loop_
_atom_site_label
_atom_site_type_symbol
_atom_site_fract_x
_atom_site_fract_y
_atom_site_fract_z
Mg1 Mg 0.089 0.371 0.244
Mg2 Mg 0.371 0.089 0.744
Mg3 Mg 0.629 0.911 0.256
Mg4 Mg 0.911 0.629 0.756
Nb1 Nb 0.201 0.545 0.266
Nb2 Nb 0.455 0.799 0.234
Nb3 Nb 0.545 0.201 0.766
Nb4 Nb 0.799 0.455 0.734
Sn1 Sn 0.194 0.806 0.750
Sn2 Sn 0.806 0.194 0.250
O1 O 0.050 0.343 0.882
O2 O 0.053 0.809 0.384
O3 O 0.191 0.947 0.116
O4 O 0.196 0.420 0.547
O5 O 0.328 0.504 0.956
O6 O 0.343 0.050 0.382
O7 O 0.420 0.196 0.047
O8 O 0.496 0.672 0.544
O9 O 0.504 0.328 0.456
O10 O 0.580 0.804 0.953
O11 O 0.657 0.950 0.618
O12 O 0.672 0.496 0.044
O13 O 0.804 0.580 0.453
O14 O 0.809 0.053 0.884
O15 O 0.947 0.191 0.616
O16 O 0.950 0.657 0.118
```

# 2
VASP calculation (PBE) on an optimized crystal structure of GdBO3.

Computed properties:
Raw total energy ... -100.632 eV/cell
Calculated density ... 4.56 g/cm³
Energy relative to the elements ... -16.8 eV/f.u.

Cell and atoms, written as CIF:
```
data_GdBO3
_space_group_name_H-M_alt 'P 1'
_space_group_IT_number 1
_cell_length_a 5.281
_cell_length_b 5.281
_cell_length_c 6.518
_cell_angle_alpha 90.00
_cell_angle_beta 90.00
_cell_angle_gamma 120.00
loop_
_space_group_symop_operation_xyz
'x,y,z'
loop_
_atom_site_label
_atom_site_type_symbol
_atom_site_fract_x
_atom_site_fract_y
_atom_site_fract_z
Gd1 Gd 0.000 0.000 0.000
Gd2 Gd 0.000 0.000 0.500
B1 B 0.333 0.667 0.250
B2 B 0.667 0.333 0.750
O1 O 0.182 0.363 0.250
O2 O 0.182 0.818 0.250
O3 O 0.363 0.182 0.750
O4 O 0.637 0.818 0.250
O5 O 0.818 0.182 0.750
O6 O 0.818 0.637 0.750
```

> Among the records above, which one has the lowest calculated density?

GdBO3

> Number 2 is which compound?

GdBO3